1.
# Nd3Ti, relaxed, DFT PBE-GGA
data_Nd3Ti
_chemical_formula_sum 'Nd3 Ti1'
_space_group_name_H-M_alt 'P 1'
_space_group_IT_number 1
_space_group_name_Hall 'P 1'
_cell_length_a 4.932
_cell_length_b 4.932
_cell_length_c 4.932
_cell_angle_alpha 90.00
_cell_angle_beta 90.00
_cell_angle_gamma 90.00
loop_
_atom_site_label
_atom_site_fract_x
_atom_site_fract_y
_atom_site_fract_z
_atom_site_occupancy
Nd1 0.000 0.500 0.500 1
Nd2 0.500 0.000 0.500 1
Nd3 0.500 0.500 0.000 1
Ti1 0.000 0.000 0.000 1
# energy above the lowest structure with this stoichiometry: 0 meV/atom
# ΔE_f: 1.0 eV per formula unit
# size of the total moment: 0.00 μB per formula unit

2.
# Ba2ErMgSbO6, relaxed, DFT PBE-GGA
data_Ba2ErMgSbO6
_chemical_formula_sum 'Ba2 Er1 Mg1 Sb1 O6'
_space_group_name_H-M_alt 'P 1'
_space_group_IT_number 1
_space_group_name_Hall 'P 1'
_cell_length_a 7.404
_cell_length_b 7.407
_cell_length_c 7.404
_cell_angle_alpha 49.62
_cell_angle_beta 49.63
_cell_angle_gamma 49.62
loop_
_atom_site_label
_atom_site_fract_x
_atom_site_fract_y
_atom_site_fract_z
_atom_site_occupancy
Ba1 0.723 0.722 0.723 1
Ba2 0.175 0.174 0.175 1
Er1 0.997 0.996 0.997 1
Mg1 0.401 0.400 0.401 1
Sb1 0.550 0.550 0.550 1
O1 0.288 0.759 0.757 1
O2 0.230 0.759 0.230 1
O3 0.758 0.290 0.758 1
O4 0.230 0.229 0.760 1
O5 0.760 0.229 0.230 1
O6 0.757 0.759 0.288 1
# energy above the lowest structure with this stoichiometry: 0 meV/atom
# ΔE_f: -31.0 eV per formula unit
# size of the total moment: 0.00 μB per formula unit

3.
# Ru2C7S10N10Cl8O6, relaxed, DFT PBE-GGA
data_Ru2C7S10N10Cl8O6
_chemical_formula_sum 'Ru4 C14 S20 N20 Cl16 O12'
_space_group_name_H-M_alt 'P 1'
_space_group_IT_number 1
_space_group_name_Hall 'P 1'
_cell_length_a 11.623
_cell_length_b 11.623
_cell_length_c 17.062
_cell_angle_alpha 85.44
_cell_angle_beta 85.44
_cell_angle_gamma 54.97
loop_
_atom_site_label
_atom_site_fract_x
_atom_site_fract_y
_atom_site_fract_z
_atom_site_occupancy
Ru1 0.931 0.457 0.680 1
Ru2 0.543 0.069 0.820 1
Ru3 0.069 0.543 0.320 1
Ru4 0.457 0.931 0.180 1
C1 0.121 0.335 0.643 1
C2 0.665 0.879 0.857 1
C3 0.879 0.665 0.357 1
C4 0.335 0.121 0.143 1
C5 0.979 0.448 0.784 1
C6 0.552 0.021 0.716 1
C7 0.021 0.552 0.216 1
C8 0.448 0.979 0.284 1
C9 0.918 0.625 0.650 1
C10 0.375 0.082 0.850 1
C11 0.082 0.375 0.350 1
C12 0.625 0.918 0.150 1
C13 0.266 0.734 0.750 1
C14 0.734 0.266 0.250 1
S1 0.472 0.374 0.071 1
S2 0.626 0.528 0.429 1
S3 0.528 0.626 0.929 1
S4 0.374 0.472 0.571 1
S5 0.390 0.632 0.143 1
S6 0.368 0.610 0.357 1
S7 0.610 0.368 0.857 1
S8 0.632 0.390 0.643 1
S9 0.112 0.851 0.087 1
S10 0.149 0.888 0.413 1
S11 0.888 0.149 0.913 1
S12 0.851 0.112 0.587 1
S13 0.988 0.767 0.970 1
S14 0.233 0.012 0.530 1
S15 0.012 0.233 0.030 1
S16 0.767 0.988 0.470 1
S17 0.238 0.457 0.969 1
S18 0.543 0.762 0.531 1
S19 0.762 0.543 0.031 1
S20 0.457 0.238 0.469 1
N1 0.488 0.471 0.123 1
N2 0.529 0.512 0.377 1
N3 0.512 0.529 0.877 1
N4 0.471 0.488 0.623 1
N5 0.254 0.703 0.093 1
N6 0.297 0.746 0.407 1
N7 0.746 0.297 0.907 1
N8 0.703 0.254 0.593 1
N9 0.015 0.850 0.027 1
N10 0.150 0.985 0.473 1
N11 0.985 0.150 0.973 1
N12 0.850 0.015 0.527 1
N13 0.095 0.605 0.955 1
N14 0.395 0.905 0.545 1
N15 0.905 0.395 0.045 1
N16 0.605 0.095 0.455 1
N17 0.327 0.464 0.030 1
N18 0.536 0.673 0.470 1
N19 0.673 0.536 0.970 1
N20 0.464 0.327 0.530 1
Cl1 0.864 0.458 0.548 1
Cl2 0.542 0.136 0.952 1
Cl3 0.136 0.542 0.452 1
Cl4 0.458 0.864 0.048 1
Cl5 0.685 0.611 0.726 1
Cl6 0.389 0.315 0.774 1
Cl7 0.315 0.389 0.274 1
Cl8 0.611 0.685 0.226 1
Cl9 0.935 0.246 0.717 1
Cl10 0.754 0.065 0.783 1
Cl11 0.065 0.754 0.283 1
Cl12 0.246 0.935 0.217 1
Cl13 0.139 0.796 0.681 1
Cl14 0.204 0.861 0.819 1
Cl15 0.861 0.204 0.319 1
Cl16 0.796 0.139 0.181 1
O1 0.235 0.260 0.619 1
O2 0.740 0.765 0.881 1
O3 0.765 0.740 0.381 1
O4 0.260 0.235 0.119 1
O5 0.005 0.439 0.850 1
O6 0.561 0.995 0.650 1
O7 0.995 0.561 0.150 1
O8 0.439 0.005 0.350 1
O9 0.907 0.729 0.631 1
O10 0.271 0.093 0.869 1
O11 0.093 0.271 0.369 1
O12 0.729 0.907 0.131 1
# ΔE_f: -5.8 eV per formula unit
# size of the total moment: 0.00 μB per formula unit

4.
# NpB4H16, relaxed, DFT PBE-GGA
data_NpB4H16
_chemical_formula_sum 'Np2 B8 H32'
_space_group_name_H-M_alt 'P 1'
_space_group_IT_number 1
_space_group_name_Hall 'P 1'
_cell_length_a 8.744
_cell_length_b 8.744
_cell_length_c 6.284
_cell_angle_alpha 90.00
_cell_angle_beta 90.00
_cell_angle_gamma 90.00
loop_
_atom_site_label
_atom_site_fract_x
_atom_site_fract_y
_atom_site_fract_z
_atom_site_occupancy
Np1 0.000 0.000 0.000 1
Np2 0.500 0.500 0.500 1
B1 0.229 0.000 0.227 1
B2 0.500 0.271 0.727 1
B3 0.500 0.729 0.727 1
B4 0.771 0.000 0.227 1
B5 0.271 0.500 0.273 1
B6 0.729 0.500 0.273 1
B7 0.000 0.229 0.773 1
B8 0.000 0.771 0.773 1
H1 0.340 0.000 0.339 1
H2 0.500 0.160 0.839 1
H3 0.500 0.840 0.839 1
H4 0.660 0.000 0.339 1
H5 0.160 0.500 0.161 1
H6 0.840 0.500 0.161 1
H7 0.000 0.340 0.661 1
H8 0.000 0.660 0.661 1
H9 0.258 0.000 0.030 1
H10 0.500 0.242 0.530 1
H11 0.500 0.758 0.530 1
H12 0.742 0.000 0.030 1
H13 0.242 0.500 0.470 1
H14 0.758 0.500 0.470 1
H15 0.000 0.258 0.970 1
H16 0.000 0.742 0.970 1
H17 0.143 0.114 0.252 1
H18 0.614 0.357 0.752 1
H19 0.386 0.643 0.752 1
H20 0.857 0.886 0.252 1
H21 0.357 0.614 0.248 1
H22 0.643 0.386 0.248 1
H23 0.114 0.143 0.748 1
H24 0.886 0.857 0.748 1
H25 0.357 0.386 0.248 1
H26 0.886 0.143 0.748 1
H27 0.114 0.857 0.748 1
H28 0.643 0.614 0.248 1
H29 0.143 0.886 0.252 1
H30 0.857 0.114 0.252 1
H31 0.386 0.357 0.752 1
H32 0.614 0.643 0.752 1
# ΔE_f: -5.4 eV per formula unit

5.
# Dy2Si3Ir3, relaxed, DFT PBE-GGA
data_Dy2Si3Ir3
_chemical_formula_sum 'Dy2 Si3 Ir3'
_space_group_name_H-M_alt 'P 1'
_space_group_IT_number 1
_space_group_name_Hall 'P 1'
_cell_length_a 2.786
_cell_length_b 2.786
_cell_length_c 20.361
_cell_angle_alpha 90.00
_cell_angle_beta 90.00
_cell_angle_gamma 90.00
loop_
_atom_site_label
_atom_site_fract_x
_atom_site_fract_y
_atom_site_fract_z
_atom_site_occupancy
Dy1 0.500 0.500 0.759 1
Dy2 0.500 0.500 0.241 1
Si1 0.500 0.500 0.387 1
Si2 0.500 0.500 0.613 1
Si3 0.500 0.500 0.000 1
Ir1 0.500 0.500 0.111 1
Ir2 0.500 0.500 0.889 1
Ir3 0.500 0.500 0.500 1
# ΔE_f: 5.5 eV per formula unit
# size of the total moment: 0.05 μB per formula unit

6.
# Er2CdSe4, relaxed, DFT PBE-GGA
data_Er2CdSe4
_chemical_formula_sum 'Er24 Cd12 Se48'
_space_group_name_H-M_alt 'P 1'
_space_group_IT_number 1
_space_group_name_Hall 'P 1'
_cell_length_a 8.316
_cell_length_b 8.316
_cell_length_c 40.663
_cell_angle_alpha 90.00
_cell_angle_beta 90.00
_cell_angle_gamma 120.00
loop_
_atom_site_label
_atom_site_fract_x
_atom_site_fract_y
_atom_site_fract_z
_atom_site_occupancy
Er1 0.333 0.667 0.001 1
Er2 0.672 0.836 0.896 1
Er3 0.164 0.328 0.896 1
Er4 0.164 0.836 0.896 1
Er5 0.004 0.502 0.729 1
Er6 0.498 0.996 0.729 1
Er7 0.667 0.333 0.834 1
Er8 0.333 0.167 0.563 1
Er9 0.498 0.502 0.729 1
Er10 0.833 0.667 0.563 1
Er11 0.667 0.333 0.646 1
Er12 0.833 0.167 0.563 1
Er13 0.667 0.833 0.396 1
Er14 0.000 0.000 0.479 1
Er15 0.167 0.333 0.396 1
Er16 0.167 0.833 0.396 1
Er17 0.000 0.500 0.229 1
Er18 0.333 0.667 0.313 1
Er19 0.500 0.000 0.229 1
Er20 0.500 0.500 0.229 1
Er21 0.335 0.167 0.063 1
Er22 0.667 0.333 0.146 1
Er23 0.833 0.665 0.063 1
Er24 0.833 0.167 0.063 1
Cd1 0.667 0.333 0.957 1
Cd2 0.000 0.000 0.790 1
Cd3 0.000 0.000 0.977 1
Cd4 0.333 0.667 0.625 1
Cd5 0.333 0.667 0.811 1
Cd6 0.333 0.667 0.500 1
Cd7 0.667 0.333 0.458 1
Cd8 0.000 0.000 0.667 1
Cd9 0.000 0.000 0.167 1
Cd10 0.000 0.000 0.292 1
Cd11 0.333 0.667 0.125 1
Cd12 0.667 0.333 0.333 1
Se1 0.843 0.157 0.936 1
Se2 0.843 0.685 0.936 1
Se3 0.000 0.000 0.858 1
Se4 0.315 0.157 0.936 1
Se5 0.022 0.511 0.856 1
Se6 0.176 0.824 0.769 1
Se7 0.489 0.978 0.856 1
Se8 0.333 0.667 0.934 1
Se9 0.176 0.352 0.769 1
Se10 0.333 0.667 0.691 1
Se11 0.489 0.511 0.856 1
Se12 0.648 0.824 0.769 1
Se13 0.510 0.490 0.603 1
Se14 0.354 0.177 0.689 1
Se15 0.823 0.646 0.689 1
Se16 0.667 0.333 0.767 1
Se17 0.510 0.020 0.603 1
Se18 0.667 0.333 0.525 1
Se19 0.823 0.177 0.689 1
Se20 0.980 0.490 0.603 1
Se21 0.687 0.844 0.522 1
Se22 0.843 0.157 0.436 1
Se23 0.156 0.313 0.522 1
Se24 0.000 0.000 0.600 1
Se25 0.843 0.687 0.436 1
Se26 0.000 0.000 0.358 1
Se27 0.156 0.844 0.522 1
Se28 0.313 0.157 0.436 1
Se29 0.020 0.510 0.355 1
Se30 0.177 0.823 0.270 1
Se31 0.333 0.667 0.434 1
Se32 0.177 0.354 0.270 1
Se33 0.490 0.980 0.355 1
Se34 0.333 0.667 0.191 1
Se35 0.490 0.510 0.355 1
Se36 0.646 0.823 0.270 1
Se37 0.354 0.177 0.189 1
Se38 0.510 0.490 0.103 1
Se39 0.667 0.333 0.267 1
Se40 0.823 0.646 0.189 1
Se41 0.510 0.020 0.103 1
Se42 0.667 0.333 0.025 1
Se43 0.823 0.177 0.189 1
Se44 0.980 0.490 0.103 1
Se45 0.687 0.844 0.023 1
Se46 0.156 0.313 0.023 1
Se47 0.000 0.000 0.100 1
Se48 0.156 0.844 0.023 1
# ΔE_f: -12.3 eV per formula unit
# size of the total moment: 0.00 μB per formula unit

7.
# LiGd2Tl, relaxed, DFT PBE-GGA
data_LiGd2Tl
_chemical_formula_sum 'Li1 Gd2 Tl1'
_space_group_name_H-M_alt 'P 1'
_space_group_IT_number 1
_space_group_name_Hall 'P 1'
_cell_length_a 5.360
_cell_length_b 5.360
_cell_length_c 5.360
_cell_angle_alpha 60.00
_cell_angle_beta 60.00
_cell_angle_gamma 60.00
loop_
_atom_site_label
_atom_site_fract_x
_atom_site_fract_y
_atom_site_fract_z
_atom_site_occupancy
Li1 0.500 0.500 0.500 1
Gd1 0.250 0.250 0.250 1
Gd2 0.750 0.750 0.750 1
Tl1 0.000 0.000 0.000 1
# ΔE_f: -0.9 eV per formula unit

8.
# CeMg2, relaxed, DFT PBE-GGA
data_CeMg2
_chemical_formula_sum 'Ce2 Mg4'
_space_group_name_H-M_alt 'P 1'
_space_group_IT_number 1
_space_group_name_Hall 'P 1'
_cell_length_a 6.835
_cell_length_b 6.835
_cell_length_c 7.419
_cell_angle_alpha 77.84
_cell_angle_beta 77.84
_cell_angle_gamma 26.90
loop_
_atom_site_label
_atom_site_fract_x
_atom_site_fract_y
_atom_site_fract_z
_atom_site_occupancy
Ce1 0.516 0.516 0.674 1
Ce2 0.484 0.484 0.326 1
Mg1 0.794 0.794 0.648 1
Mg2 0.149 0.149 0.969 1
Mg3 0.851 0.851 0.031 1
Mg4 0.206 0.206 0.352 1
# ΔE_f: 0.0 eV per formula unit

9.
# Na2Hf2Zn2SiS5O24, relaxed, DFT PBE-GGA
data_Na2Hf2Zn2SiS5O24
_chemical_formula_sum 'Na6 Hf6 Zn6 Si3 S15 O72'
_space_group_name_H-M_alt 'P 1'
_space_group_IT_number 1
_space_group_name_Hall 'P 1'
_cell_length_a 8.803
_cell_length_b 8.808
_cell_length_c 23.030
_cell_angle_alpha 89.93
_cell_angle_beta 89.95
_cell_angle_gamma 119.83
loop_
_atom_site_label
_atom_site_fract_x
_atom_site_fract_y
_atom_site_fract_z
_atom_site_occupancy
Na1 0.002 0.001 0.497 1
Na2 0.999 0.994 0.996 1
Na3 0.668 0.324 0.824 1
Na4 0.657 0.326 0.339 1
Na5 0.323 0.671 0.163 1
Na6 0.339 0.672 0.662 1
Hf1 0.989 0.997 0.647 1
Hf2 0.007 0.989 0.147 1
Hf3 0.670 0.334 0.187 1
Hf4 0.676 0.344 0.979 1
Hf5 0.331 0.675 0.317 1
Hf6 0.341 0.674 0.810 1
Zn1 0.015 0.005 0.353 1
Zn2 0.993 0.003 0.845 1
Zn3 0.667 0.318 0.684 1
Zn4 0.664 0.333 0.485 1
Zn5 0.319 0.666 0.018 1
Zn6 0.334 0.666 0.518 1
Si1 0.292 0.001 0.253 1
Si2 0.714 0.013 0.752 1
Si3 0.968 0.626 0.083 1
S1 0.710 0.711 0.252 1
S2 0.001 0.288 0.251 1
S3 0.292 0.288 0.751 1
S4 0.996 0.708 0.751 1
S5 0.960 0.339 0.582 1
S6 0.377 0.040 0.582 1
S7 0.663 0.619 0.583 1
S8 0.665 0.041 0.083 1
S9 0.377 0.337 0.083 1
S10 0.623 0.670 0.919 1
S11 0.046 0.373 0.918 1
S12 0.329 0.957 0.917 1
S13 0.630 0.961 0.418 1
S14 0.334 0.375 0.418 1
S15 0.037 0.665 0.419 1
O1 0.207 0.036 0.308 1
O2 0.813 0.785 0.303 1
O3 0.967 0.183 0.303 1
O4 0.218 0.185 0.804 1
O5 0.976 0.788 0.804 1
O6 0.821 0.033 0.810 1
O7 0.800 0.970 0.694 1
O8 0.181 0.208 0.699 1
O9 0.033 0.821 0.698 1
O10 0.787 0.819 0.198 1
O11 0.025 0.209 0.197 1
O12 0.174 0.969 0.194 1
O13 0.883 0.364 0.635 1
O14 0.480 0.119 0.635 1
O15 0.641 0.517 0.636 1
O16 0.864 0.506 0.139 1
O17 0.639 0.125 0.135 1
O18 0.483 0.355 0.135 1
O19 0.456 0.301 0.031 1
O20 0.836 0.531 0.027 1
O21 0.691 0.153 0.031 1
O22 0.450 0.148 0.530 1
O23 0.698 0.548 0.530 1
O24 0.852 0.302 0.530 1
O25 0.540 0.691 0.971 1
O26 0.148 0.455 0.970 1
O27 0.306 0.854 0.969 1
O28 0.547 0.852 0.469 1
O29 0.309 0.459 0.469 1
O30 0.149 0.692 0.470 1
O31 0.126 0.641 0.365 1
O32 0.516 0.873 0.364 1
O33 0.357 0.485 0.364 1
O34 0.122 0.484 0.865 1
O35 0.359 0.874 0.865 1
O36 0.513 0.639 0.866 1
O37 0.019 0.821 0.411 1
O38 0.803 0.976 0.408 1
O39 0.174 0.202 0.412 1
O40 0.024 0.197 0.912 1
O41 0.175 0.979 0.909 1
O42 0.801 0.818 0.912 1
O43 0.981 0.176 0.590 1
O44 0.196 0.022 0.590 1
O45 0.828 0.800 0.590 1
O46 0.972 0.816 0.088 1
O47 0.829 0.034 0.090 1
O48 0.200 0.179 0.090 1
O49 0.683 0.176 0.744 1
O50 0.470 0.319 0.743 1
O51 0.843 0.535 0.743 1
O52 0.689 0.533 0.242 1
O53 0.846 0.314 0.243 1
O54 0.487 0.170 0.241 1
O55 0.634 0.503 0.923 1
O56 0.865 0.355 0.924 1
O57 0.492 0.134 0.923 1
O58 0.641 0.134 0.421 1
O59 0.494 0.360 0.422 1
O60 0.865 0.503 0.422 1
O61 0.364 0.494 0.077 1
O62 0.157 0.646 0.078 1
O63 0.514 0.868 0.077 1
O64 0.354 0.862 0.576 1
O65 0.511 0.647 0.577 1
O66 0.139 0.491 0.576 1
O67 0.314 0.825 0.257 1
O68 0.530 0.686 0.256 1
O69 0.160 0.466 0.257 1
O70 0.301 0.464 0.758 1
O71 0.158 0.689 0.757 1
O72 0.518 0.828 0.758 1
# ΔE_f: -85.7 eV per formula unit
# size of the total moment: 0.00 μB per formula unit

10.
# NaSiO3, relaxed, DFT PBE-GGA
data_NaSiO3
_chemical_formula_sum 'Na1 Si1 O3'
_space_group_name_H-M_alt 'P 1'
_space_group_IT_number 1
_space_group_name_Hall 'P 1'
_cell_length_a 3.561
_cell_length_b 3.561
_cell_length_c 3.561
_cell_angle_alpha 90.00
_cell_angle_beta 90.00
_cell_angle_gamma 90.00
loop_
_atom_site_label
_atom_site_fract_x
_atom_site_fract_y
_atom_site_fract_z
_atom_site_occupancy
Na1 0.000 0.000 0.000 1
Si1 0.500 0.500 0.500 1
O1 0.500 0.500 0.000 1
O2 0.500 0.000 0.500 1
O3 0.000 0.500 0.500 1
# ΔE_f: -11.8 eV per formula unit
# size of the total moment: 0.01 μB per formula unit

> What is the formula in the eighth record?

CeMg2

> The highest ΔE_f belongs to which entry?

Dy2Si3Ir3

> Number 8 is which compound?

CeMg2